(1)
# BaHg (PBE, relaxed)
data_BaHg
_cell_length_a 4.222
_cell_length_b 4.222
_cell_length_c 4.222
_cell_angle_alpha 90.00
_cell_angle_beta 90.00
_cell_angle_gamma 90.00
_space_group_name_H-M_alt 'P m -3 m'
_space_group_IT_number 221
_space_group_name_Hall '-P 4 2 3'
loop_
_atom_site_label
_atom_site_type_symbol
_atom_site_fract_x
_atom_site_fract_y
_atom_site_fract_z
Ba1 Ba 0.000 0.000 0.000
Hg1 Hg 0.500 0.500 0.500
# - electronic total energy (eV/atom) = -1.64
# - density (g/cm3) = 7.46
# - ΔE_f (eV/atom) = -0.533

(2)
# BaHg3 (PBE, relaxed)
data_BaHg3
_cell_length_a 7.4175
_cell_length_b 7.4175
_cell_length_c 5.3538
_cell_angle_alpha 90.00
_cell_angle_beta 90.00
_cell_angle_gamma 120.00
_space_group_name_H-M_alt 'P 63/m m c'
_space_group_IT_number 194
_space_group_name_Hall '-P 6c 2c'
loop_
_atom_site_label
_atom_site_type_symbol
_atom_site_fract_x
_atom_site_fract_y
_atom_site_fract_z
Ba1 Ba 0.3333 0.6667 0.2500
Hg1 Hg 0.1482 0.2963 0.7500
# - electronic total energy (eV/atom) = -1.15
# - density (g/cm3) = 9.62
# - ΔE_f (eV/atom) = -0.439